1.
The following is a PBE calculation of a relaxed structure of Na4ScSi2SnPO12, from the Materials Project.

a = 9.155 Å, b = 9.155 Å, c = 22.433 Å
α = 90.32°, β = 89.68°, γ = 120.00°
Atoms (fractional coordinates):
Na 0.640 0.005 0.251
Na 0.369 0.367 0.246
Na 0.991 0.625 0.251
Na 0.633 0.631 0.746
Na 0.995 0.360 0.751
Na 0.375 0.009 0.751
Na 0.307 0.339 0.584
Na 0.036 0.700 0.579
Na 0.658 0.959 0.584
Na 0.300 0.964 0.079
Na 0.661 0.693 0.084
Na 0.041 0.342 0.084
Na 0.973 0.672 0.917
Na 0.702 0.034 0.913
Na 0.325 0.292 0.917
Na 0.966 0.298 0.413
Na 0.328 0.027 0.417
Na 0.708 0.675 0.417
Na 0.996 0.992 0.498
Na 0.008 0.004 0.998
Na 0.663 0.326 0.831
Na 0.674 0.337 0.331
Na 0.330 0.659 0.165
Na 0.341 0.670 0.665
Sc 0.993 0.995 0.352
Sc 0.005 0.007 0.852
Sc 0.660 0.329 0.685
Sc 0.671 0.340 0.185
Sc 0.326 0.662 0.018
Sc 0.338 0.674 0.518
Si 0.703 0.706 0.251
Si 0.002 0.296 0.252
Si 0.294 0.297 0.751
Si 0.704 0.998 0.752
Si 0.369 0.039 0.584
Si 0.669 0.629 0.585
Si 0.961 0.631 0.084
Si 0.371 0.331 0.085
Si 0.036 0.372 0.918
Si 0.335 0.962 0.918
Si 0.628 0.964 0.418
Si 0.038 0.665 0.418
Sn 0.999 0.000 0.650
Sn 0.000 0.001 0.150
Sn 0.665 0.333 0.983
Sn 0.667 0.335 0.483
Sn 0.332 0.667 0.316
Sn 0.333 0.668 0.816
P 0.292 0.997 0.251
P 0.003 0.708 0.751
P 0.959 0.330 0.584
P 0.670 0.041 0.084
P 0.625 0.664 0.917
P 0.336 0.375 0.417
O 0.211 0.026 0.306
O 0.823 0.791 0.308
O 0.976 0.180 0.309
O 0.209 0.177 0.808
O 0.974 0.789 0.806
O 0.820 0.024 0.809
O 0.783 0.957 0.691
O 0.174 0.216 0.691
O 0.037 0.819 0.694
O 0.784 0.826 0.191
O 0.043 0.217 0.191
O 0.181 0.963 0.194
O 0.877 0.359 0.639
O 0.489 0.125 0.642
O 0.642 0.513 0.643
O 0.875 0.511 0.142
O 0.641 0.123 0.139
O 0.487 0.358 0.143
O 0.450 0.290 0.024
O 0.841 0.550 0.024
O 0.703 0.152 0.027
O 0.450 0.159 0.524
O 0.710 0.550 0.524
O 0.848 0.297 0.527
O 0.544 0.693 0.972
O 0.156 0.458 0.975
O 0.309 0.846 0.976
O 0.542 0.844 0.475
O 0.307 0.456 0.472
O 0.154 0.691 0.476
O 0.116 0.624 0.358
O 0.507 0.883 0.358
O 0.370 0.485 0.360
O 0.117 0.493 0.858
O 0.376 0.884 0.858
O 0.515 0.630 0.860
O 0.022 0.835 0.413
O 0.817 0.988 0.413
O 0.181 0.196 0.411
O 0.012 0.183 0.913
O 0.165 0.978 0.913
O 0.804 0.819 0.911
O 0.973 0.168 0.588
O 0.182 0.025 0.589
O 0.841 0.819 0.588
O 0.975 0.818 0.089
O 0.832 0.027 0.088
O 0.181 0.159 0.088
O 0.689 0.168 0.746
O 0.484 0.322 0.746
O 0.848 0.530 0.744
O 0.678 0.516 0.246
O 0.832 0.311 0.246
O 0.470 0.152 0.244
O 0.640 0.501 0.921
O 0.848 0.359 0.922
O 0.508 0.152 0.921
O 0.641 0.152 0.422
O 0.499 0.360 0.421
O 0.848 0.492 0.421
O 0.355 0.501 0.080
O 0.150 0.655 0.079
O 0.514 0.863 0.078
O 0.345 0.850 0.579
O 0.499 0.645 0.580
O 0.137 0.486 0.578
O 0.307 0.834 0.254
O 0.515 0.692 0.255
O 0.174 0.486 0.255
O 0.308 0.485 0.755
O 0.166 0.693 0.754
O 0.514 0.826 0.755

V in Å³/atom: 12.9
Magnetic moment in μB/cell: 0.0



2.
The following is a PBE calculation of a relaxed structure of Na3ScTaSi2PO12, from the Materials Project.

a = 9.078 Å, b = 9.078 Å, c = 22.523 Å
α = 89.71°, β = 90.29°, γ = 119.84°
Atoms (fractional coordinates):
Na 0.996 0.993 0.495
Na 0.007 0.004 0.995
Na 0.662 0.327 0.828
Na 0.673 0.338 0.328
Na 0.329 0.660 0.162
Na 0.340 0.671 0.662
Na 0.648 0.013 0.250
Na 0.986 0.624 0.248
Na 0.987 0.352 0.750
Na 0.376 0.014 0.748
Na 0.315 0.347 0.583
Na 0.653 0.958 0.582
Na 0.653 0.685 0.083
Na 0.042 0.347 0.082
Na 0.982 0.680 0.916
Na 0.319 0.291 0.915
Na 0.320 0.018 0.416
Na 0.709 0.681 0.415
Sc 0.993 0.002 0.352
Sc 0.998 0.007 0.852
Sc 0.660 0.335 0.686
Sc 0.665 0.340 0.186
Sc 0.326 0.668 0.019
Sc 0.332 0.674 0.519
Ta 0.997 0.995 0.647
Ta 0.005 0.003 0.147
Ta 0.663 0.328 0.980
Ta 0.672 0.337 0.480
Ta 0.330 0.662 0.313
Ta 0.338 0.670 0.813
Si 0.705 0.708 0.251
Si 0.003 0.294 0.250
Si 0.292 0.295 0.751
Si 0.706 0.997 0.750
Si 0.372 0.041 0.585
Si 0.670 0.627 0.583
Si 0.959 0.628 0.085
Si 0.373 0.330 0.083
Si 0.038 0.374 0.918
Si 0.337 0.961 0.917
Si 0.626 0.962 0.418
Si 0.039 0.663 0.417
P 0.290 0.997 0.253
P 0.003 0.710 0.753
P 0.957 0.331 0.586
P 0.669 0.043 0.086
P 0.624 0.664 0.919
P 0.336 0.376 0.419
O 0.214 0.019 0.309
O 0.820 0.792 0.310
O 0.973 0.172 0.305
O 0.208 0.180 0.810
O 0.981 0.786 0.809
O 0.828 0.027 0.805
O 0.800 0.971 0.689
O 0.163 0.196 0.693
O 0.027 0.832 0.698
O 0.804 0.837 0.193
O 0.029 0.200 0.189
O 0.168 0.973 0.198
O 0.880 0.352 0.643
O 0.486 0.125 0.643
O 0.640 0.505 0.638
O 0.875 0.514 0.143
O 0.648 0.120 0.143
O 0.495 0.360 0.138
O 0.466 0.304 0.023
O 0.830 0.529 0.026
O 0.694 0.165 0.031
O 0.471 0.170 0.526
O 0.696 0.534 0.523
O 0.835 0.306 0.531
O 0.547 0.685 0.976
O 0.153 0.458 0.976
O 0.307 0.838 0.971
O 0.542 0.847 0.476
O 0.315 0.453 0.476
O 0.162 0.693 0.471
O 0.133 0.638 0.356
O 0.497 0.863 0.359
O 0.361 0.498 0.364
O 0.137 0.503 0.859
O 0.362 0.867 0.856
O 0.502 0.639 0.864
O 0.017 0.830 0.412
O 0.811 0.980 0.412
O 0.192 0.194 0.411
O 0.020 0.189 0.912
O 0.170 0.983 0.912
O 0.806 0.808 0.911
O 0.961 0.158 0.588
O 0.187 0.038 0.590
O 0.842 0.819 0.589
O 0.962 0.813 0.090
O 0.842 0.039 0.088
O 0.181 0.158 0.089
O 0.684 0.163 0.745
O 0.478 0.313 0.745
O 0.859 0.528 0.744
O 0.687 0.522 0.245
O 0.837 0.316 0.245
O 0.472 0.141 0.244
O 0.627 0.491 0.921
O 0.854 0.372 0.923
O 0.508 0.152 0.922
O 0.628 0.146 0.423
O 0.509 0.373 0.421
O 0.848 0.492 0.422
O 0.351 0.496 0.078
O 0.144 0.647 0.079
O 0.526 0.861 0.077
O 0.353 0.856 0.579
O 0.504 0.649 0.578
O 0.139 0.474 0.577
O 0.294 0.824 0.254
O 0.520 0.705 0.257
O 0.175 0.486 0.256
O 0.295 0.480 0.757
O 0.176 0.706 0.754
O 0.514 0.825 0.756

V in Å³/atom: 13.4
Relative energy among the computed polymorphs in eV/atom: 0.002
Magnetic moment in μB/cell: 0.0



3.
The following is a PBE calculation of a relaxed structure of Na4ScTa3Si4P2O24, from the Materials Project.

a = 8.957 Å, b = 8.973 Å, c = 22.694 Å
α = 90.04°, β = 89.90°, γ = 120.02°
Atoms (fractional coordinates):
Na 0.634 0.626 0.746
Na 0.995 0.367 0.747
Na 0.312 0.976 0.084
Na 0.026 0.340 0.084
Na 0.965 0.295 0.413
Na 0.707 0.678 0.415
Na 0.006 0.996 0.500
Na 0.991 0.991 0.996
Na 0.654 0.319 0.833
Na 0.658 0.324 0.325
Na 0.344 0.666 0.165
Na 0.334 0.672 0.666
Sc 0.003 0.998 0.353
Sc 0.661 0.328 0.686
Sc 0.667 0.334 0.184
Ta 0.004 0.007 0.857
Ta 0.995 0.002 0.644
Ta 0.996 0.997 0.146
Ta 0.667 0.335 0.978
Ta 0.669 0.332 0.482
Ta 0.337 0.667 0.019
Ta 0.335 0.669 0.522
Ta 0.332 0.671 0.311
Ta 0.336 0.670 0.814
Si 0.290 0.288 0.750
Si 0.709 0.000 0.751
Si 0.959 0.334 0.586
Si 0.668 0.624 0.585
Si 0.953 0.621 0.083
Si 0.665 0.044 0.084
Si 0.382 0.338 0.085
Si 0.624 0.665 0.916
Si 0.042 0.378 0.916
Si 0.334 0.957 0.917
Si 0.619 0.958 0.416
Si 0.046 0.669 0.417
P 0.291 0.001 0.251
P 0.708 0.708 0.252
P 0.001 0.291 0.252
P 0.006 0.719 0.750
P 0.376 0.043 0.583
P 0.336 0.383 0.417
O 0.200 0.017 0.305
O 0.809 0.793 0.309
O 0.984 0.189 0.308
O 0.190 0.168 0.808
O 0.980 0.807 0.805
O 0.833 0.019 0.807
O 0.802 0.964 0.693
O 0.163 0.192 0.693
O 0.031 0.830 0.695
O 0.804 0.828 0.198
O 0.025 0.199 0.196
O 0.178 0.974 0.194
O 0.881 0.367 0.644
O 0.485 0.118 0.638
O 0.632 0.513 0.644
O 0.882 0.498 0.140
O 0.619 0.118 0.140
O 0.493 0.371 0.142
O 0.465 0.293 0.027
O 0.832 0.533 0.026
O 0.707 0.171 0.026
O 0.466 0.159 0.528
O 0.690 0.526 0.525
O 0.834 0.305 0.526
O 0.528 0.694 0.972
O 0.161 0.469 0.974
O 0.306 0.839 0.976
O 0.525 0.831 0.472
O 0.309 0.471 0.471
O 0.165 0.686 0.473
O 0.136 0.629 0.360
O 0.496 0.858 0.358
O 0.369 0.500 0.362
O 0.136 0.496 0.857
O 0.360 0.859 0.860
O 0.504 0.638 0.857
O 0.014 0.829 0.413
O 0.811 0.984 0.412
O 0.174 0.207 0.412
O 0.025 0.188 0.910
O 0.162 0.973 0.909
O 0.813 0.835 0.908
O 0.978 0.161 0.589
O 0.195 0.024 0.588
O 0.844 0.814 0.589
O 0.982 0.818 0.093
O 0.841 0.028 0.093
O 0.184 0.162 0.094
O 0.701 0.173 0.747
O 0.484 0.322 0.748
O 0.845 0.539 0.746
O 0.686 0.530 0.246
O 0.845 0.315 0.246
O 0.471 0.154 0.246
O 0.638 0.492 0.923
O 0.853 0.360 0.923
O 0.506 0.145 0.924
O 0.635 0.148 0.423
O 0.503 0.371 0.424
O 0.853 0.490 0.424
O 0.340 0.495 0.074
O 0.150 0.653 0.073
O 0.498 0.851 0.074
O 0.353 0.861 0.573
O 0.502 0.652 0.573
O 0.150 0.500 0.573
O 0.301 0.828 0.256
O 0.526 0.696 0.256
O 0.173 0.473 0.256
O 0.296 0.477 0.756
O 0.167 0.698 0.756
O 0.522 0.820 0.756

V in Å³/atom: 13.9
Magnetic moment in μB/cell: 0.0
Space group: P1, No. 1



no.,ΔH_f (0 K) (eV/atom),total DFT energy (no corrections) (eV per atom)
1,-2.81,-6.765
2,-3.06,-7.533
3,-3.11,-7.896